VASP calculation (GGA-PBE) on a geometry-optimized Mg6CuMo structure.

a = 4.7693 Å, b = 6.0850 Å, c = 10.4791 Å
α = 90.00°, β = 90.00°, γ = 90.00°
Closest atoms and distances in Å follow each position.
Sites, in units of the cell vectors:
Cu 0.0000 0.5000 0.3338  10 Mg 2.92-3.05, 2 Mo 3.04
Cu 0.0000 0.0000 0.8338  10 Mg 2.92-3.05, 2 Mo 3.04
Mg 0.5000 0.5000 0.1736  2 Cu 2.92, 10 Mg 2.93-3.14
Mg 0.5000 0.5000 0.6748  10 Mg 2.89-3.17, 2 Mo 2.90
Mg 0.0000 0.2472 0.0821  8 Mg 2.98-3.08, 2 Cu 3.01-3.05, 2 Mo 3.02-3.04
Mg 0.5000 0.0000 0.1748  10 Mg 2.89-3.17, 2 Mo 2.90
Mg 0.5000 0.0000 0.6736  2 Cu 2.92, 10 Mg 2.93-3.14
Mg 0.0000 0.7528 0.0821  8 Mg 2.98-3.08, 2 Cu 3.01-3.05, 2 Mo 3.02-3.04
Mg 0.5000 0.7536 0.4108  8 Mg 2.89-3.17, 2 Mo 2.94, 2 Cu 2.95
Mg 0.5000 0.7464 0.9108  8 Mg 2.89-3.17, 2 Mo 2.94, 2 Cu 2.95
Mg 0.0000 0.7472 0.5821  8 Mg 2.98-3.08, 2 Cu 3.01-3.05, 2 Mo 3.02-3.04
Mg 0.0000 0.2528 0.5821  8 Mg 2.98-3.08, 2 Cu 3.01-3.05, 2 Mo 3.02-3.04
Mg 0.5000 0.2536 0.9108  8 Mg 2.89-3.17, 2 Mo 2.94, 2 Cu 2.95
Mg 0.5000 0.2464 0.4108  8 Mg 2.89-3.17, 2 Mo 2.94, 2 Cu 2.95
Mo 0.0000 0.5000 0.8321  10 Mg 2.90-3.04, 2 Cu 3.04
Mo 0.0000 0.0000 0.3321  10 Mg 2.90-3.04, 2 Cu 3.04

Its energy above the lowest structure with this stoichiometry is 8 meV/atom. The formation enthalpy at 0 K is 233 meV/atom.



VASP calculation (GGA-PBE) on a geometry-optimized MgCu2N2 structure.

a = 3.5974 Å, b = 3.5983 Å, c = 5.2832 Å
α = 90.60°, β = 91.19°, γ = 90.05°
Closest atoms and distances in Å follow each position.
Sites, in units of the cell vectors:
N 0.4908 0.9995 0.5232  2 Cu 1.81
N 0.0036 0.5060 0.9722  2 Cu 1.81
Mg 0.9972 0.0028 0.7477  4 N 2.15-2.16
Cu 0.5047 0.5071 0.0142  2 N 1.81
Cu 0.4892 0.4989 0.4810  2 N 1.81

As for the space-group type: No. 1. The formation enthalpy at 0 K is 216 meV/atom.



VASP calculation (GGA-PBE) on a geometry-optimized MgCuN structure.

a = 7.7354 Å, b = 3.2811 Å, c = 5.5176 Å
α = 90.00°, β = 90.00°, γ = 90.00°
Closest atoms and distances in Å follow each position.
Sites, in units of the cell vectors:
N 0.3691 0.2500 0.3201  2 Cu 2.01, 4 Mg 2.15-2.23
N 0.8691 0.2500 0.1799  2 Cu 2.01, 4 Mg 2.15-2.23
N 0.6309 0.7500 0.6799  2 Cu 2.01, 4 Mg 2.15-2.23
N 0.1309 0.7500 0.8201  2 Cu 2.01, 4 Mg 2.15-2.23
Cu 0.0672 0.2500 0.6289  2 N 2.01
Cu 0.4328 0.7500 0.1289  2 N 2.01
Cu 0.9328 0.7500 0.3711  2 N 2.01
Cu 0.5672 0.2500 0.8711  2 N 2.01
Mg 0.1488 0.2500 0.0839  4 N 2.15-2.23
Mg 0.8512 0.7500 0.9161  4 N 2.15-2.23
Mg 0.6488 0.2500 0.4161  4 N 2.15-2.23
Mg 0.3512 0.7500 0.5839  4 N 2.15-2.23

As for the space-group type: No. 62. The formation enthalpy at 0 K is -255 meV/atom.



VASP calculation (GGA-PBE) on a geometry-optimized MgCuN structure.

a = 3.3352 Å, b = 3.5731 Å, c = 3.9818 Å
α = 90.00°, β = 90.00°, γ = 117.82°
Closest atoms and distances in Å follow each position.
Sites, in units of the cell vectors:
Mg 0.6636 0.3273 0.0000  2 N 1.99
N 0.6820 0.3640 0.5000  3 Cu 1.93-2.07, 2 Mg 1.99
Cu 0.9878 0.9756 0.5000  3 N 1.93-2.07

As for the space-group type: No. 38. The formation enthalpy at 0 K is 36 meV/atom.



VASP calculation (GGA-PBE) on a geometry-optimized NaMg14Cu structure.

a = 6.3873 Å, b = 6.3873 Å, c = 10.0719 Å
α = 90.00°, β = 90.00°, γ = 120.00°
Closest atoms and distances in Å follow each position.
Sites, in units of the cell vectors:
Mg 0.3303 0.1697 0.8884  1 Cu 2.99, 10 Mg 3.03-3.25, 1 Na 3.21
Mg 0.1704 0.8352 0.6250  10 Mg 3.10-3.24, 2 Na 3.19
Mg 0.6690 0.8310 0.1250  10 Mg 3.03-3.24, 2 Cu 3.19
Mg 0.3303 0.6605 0.3616  1 Cu 2.99, 10 Mg 3.03-3.25, 1 Na 3.21
Mg 0.8333 0.6667 0.8715  12 Mg 3.10-3.20
Mg 0.8395 0.1697 0.3616  1 Cu 2.99, 10 Mg 3.03-3.25, 1 Na 3.21
Mg 0.6648 0.3296 0.6250  10 Mg 3.10-3.24, 2 Na 3.19
Mg 0.3303 0.6605 0.8884  1 Cu 2.99, 10 Mg 3.03-3.25, 1 Na 3.21
Mg 0.8333 0.6667 0.3785  12 Mg 3.10-3.20
Mg 0.6648 0.8352 0.6250  10 Mg 3.10-3.24, 2 Na 3.19
Mg 0.8395 0.1697 0.8884  1 Cu 2.99, 10 Mg 3.03-3.25, 1 Na 3.21
Mg 0.3303 0.1697 0.3616  1 Cu 2.99, 10 Mg 3.03-3.25, 1 Na 3.21
Mg 0.1621 0.8310 0.1250  10 Mg 3.03-3.24, 2 Cu 3.19
Mg 0.6690 0.3379 0.1250  10 Mg 3.03-3.24, 2 Cu 3.19
Na 0.1667 0.3333 0.6250  12 Mg 3.19-3.21
Cu 0.1667 0.3333 0.1250  12 Mg 2.99-3.19

As for the space-group type: No. 187. The formation enthalpy at 0 K is 50 meV/atom.



VASP calculation (GGA-PBE) on a geometry-optimized NaMg6Cu structure.

a = 5.0389 Å, b = 6.3536 Å, c = 10.9037 Å
α = 90.00°, β = 90.00°, γ = 90.00°
Closest atoms and distances in Å follow each position.
Sites, in units of the cell vectors:
Mg 0.0000 0.5000 0.6644  10 Mg 3.10-3.19, 2 Na 3.12
Mg 0.5000 0.7479 0.5839  8 Mg 3.10-3.20, 2 Na 3.15-3.16, 2 Cu 3.15-3.16
Mg 0.5000 0.7521 0.0839  8 Mg 3.10-3.20, 2 Na 3.15-3.16, 2 Cu 3.15-3.16
Mg 0.0000 0.5000 0.1721  10 Mg 3.04-3.27, 2 Cu 3.08
Mg 0.0000 0.0000 0.1644  10 Mg 3.10-3.19, 2 Na 3.12
Mg 0.5000 0.2521 0.5839  8 Mg 3.10-3.20, 2 Na 3.15-3.16, 2 Cu 3.15-3.16
Mg 0.0000 0.7377 0.4141  8 Mg 3.02-3.33, 2 Cu 3.06, 2 Na 3.15
Mg 0.5000 0.2479 0.0839  8 Mg 3.10-3.20, 2 Na 3.15-3.16, 2 Cu 3.15-3.16
Mg 0.0000 0.0000 0.6721  10 Mg 3.04-3.27, 2 Cu 3.08
Mg 0.0000 0.2623 0.4141  8 Mg 3.02-3.33, 2 Cu 3.06, 2 Na 3.15
Mg 0.0000 0.7623 0.9141  8 Mg 3.02-3.33, 2 Cu 3.06, 2 Na 3.15
Mg 0.0000 0.2377 0.9141  8 Mg 3.02-3.33, 2 Cu 3.06, 2 Na 3.15
Cu 0.5000 0.0000 0.8339  10 Mg 3.06-3.16, 2 Na 3.18
Cu 0.5000 0.5000 0.3339  10 Mg 3.06-3.16, 2 Na 3.18
Na 0.5000 0.5000 0.8336  10 Mg 3.12-3.16, 2 Cu 3.18
Na 0.5000 0.0000 0.3336  10 Mg 3.12-3.16, 2 Cu 3.18

The formation enthalpy at 0 K is 93 meV/atom.



VASP calculation (GGA-PBE) on a geometry-optimized NaMg14Cu structure.

a = 6.3726 Å, b = 6.3772 Å, c = 10.1093 Å
α = 90.00°, β = 90.00°, γ = 120.02°
Closest atoms and distances in Å follow each position.
Sites, in units of the cell vectors:
Mg 0.3309 0.1727 0.3714  1 Cu 3.07, 10 Mg 3.10-3.28, 1 Na 3.12
Mg 0.6651 0.8344 0.6250  12 Mg 3.08-3.21
Mg 0.1670 0.3335 0.6250  12 Mg 3.13-3.19
Mg 0.8309 0.6654 0.3815  11 Mg 3.08-3.21, 1 Na 3.18
Mg 0.3309 0.6581 0.8786  1 Cu 3.07, 10 Mg 3.10-3.28, 1 Na 3.12
Mg 0.6688 0.8295 0.1250  8 Mg 3.07-3.25, 2 Na 3.15-3.22, 2 Cu 3.18-3.19
Mg 0.6651 0.3307 0.6250  12 Mg 3.08-3.21
Mg 0.1692 0.8346 0.6250  12 Mg 3.09-3.21
Mg 0.3309 0.6581 0.3714  1 Cu 3.07, 10 Mg 3.10-3.28, 1 Na 3.12
Mg 0.8409 0.1705 0.3655  1 Cu 3.01, 11 Mg 3.07-3.26
Mg 0.8309 0.6654 0.8685  11 Mg 3.08-3.21, 1 Na 3.18
Mg 0.3309 0.1727 0.8786  1 Cu 3.07, 10 Mg 3.10-3.28, 1 Na 3.12
Mg 0.8409 0.1705 0.8845  1 Cu 3.01, 11 Mg 3.07-3.26
Mg 0.6688 0.3393 0.1250  8 Mg 3.07-3.25, 2 Na 3.15-3.22, 2 Cu 3.18-3.19
Cu 0.1637 0.3319 0.1250  10 Mg 3.01-3.19, 2 Na 3.19
Na 0.1653 0.8327 0.1250  10 Mg 3.12-3.22, 2 Cu 3.19

As for the space-group type: No. 38. The formation enthalpy at 0 K is 50 meV/atom.



VASP calculation (GGA-PBE) on a geometry-optimized NaMg6Cu structure.

a = 5.0496 Å, b = 6.3207 Å, c = 10.9320 Å
α = 90.00°, β = 90.00°, γ = 90.00°
Closest atoms and distances in Å follow each position.
Sites, in units of the cell vectors:
Mg 0.5000 0.0000 0.1645  10 Mg 3.10-3.17, 2 Na 3.16
Mg 0.0000 0.0000 0.3328  10 Mg 3.12-3.17, 2 Cu 3.17
Mg 0.0000 0.7439 0.5790  1 Cu 2.93, 8 Mg 3.08-3.24, 2 Na 3.16
Mg 0.0000 0.7561 0.0790  1 Cu 2.93, 8 Mg 3.08-3.24, 2 Na 3.16
Mg 0.0000 0.2561 0.5790  1 Cu 2.93, 8 Mg 3.08-3.24, 2 Na 3.16
Mg 0.0000 0.2439 0.0790  1 Cu 2.93, 8 Mg 3.08-3.24, 2 Na 3.16
Mg 0.5000 0.7390 0.4120  2 Cu 3.02, 8 Mg 3.02-3.30, 2 Na 3.05-3.27
Mg 0.5000 0.5000 0.6645  10 Mg 3.10-3.17, 2 Na 3.16
Mg 0.5000 0.7610 0.9120  2 Cu 3.02, 8 Mg 3.02-3.30, 2 Na 3.05-3.27
Mg 0.5000 0.2610 0.4120  2 Cu 3.02, 8 Mg 3.02-3.30, 2 Na 3.05-3.27
Mg 0.0000 0.5000 0.8328  10 Mg 3.12-3.17, 2 Cu 3.17
Mg 0.5000 0.2390 0.9120  2 Cu 3.02, 8 Mg 3.02-3.30, 2 Na 3.05-3.27
Na 0.5000 0.5000 0.1698  10 Mg 3.05-3.27, 2 Cu 3.21
Na 0.5000 0.0000 0.6698  10 Mg 3.05-3.27, 2 Cu 3.21
Cu 0.0000 0.5000 0.3509  8 Mg 2.93-3.17, 2 Na 3.21
Cu 0.0000 0.0000 0.8509  8 Mg 2.93-3.17, 2 Na 3.21

The formation enthalpy at 0 K is 92 meV/atom.



| no. | calculated density (kg/m³) |
| --- | --- |
| 1 | 3334 |
| 2 | 4357 |
| 3 | 4831 |
| 4 | 4030 |
| 5 | 1992 |
| 6 | 2211 |
| 7 | 1992 |
| 8 | 2212 |